This record from Materials Project describes an optimized crystal structure of UP2C2N2O8. The functional is GGA-PBE.

Unit cell a=5.521 b=5.635 c=10.138 alpha=93.57 beta=73.25 gamma=120.79
Fractional positions:
U 0.500 0.000 0.000
P 0.056 0.299 0.189
P 0.944 0.701 0.811
C 0.357 0.408 0.538
C 0.643 0.592 0.462
N 0.114 0.253 0.604
N 0.886 0.747 0.396
O 0.250 0.615 0.121
O 0.750 0.385 0.879
O 0.797 0.164 0.118
O 0.252 0.168 0.118
O 0.203 0.836 0.882
O 0.748 0.832 0.882
O 0.958 0.266 0.341
O 0.042 0.734 0.659

Values from the calculation:
SG	P-1, No. 2
excess energy over the best structure of this formula in the dataset	0.00	eV per formula unit


This record from Materials Project describes an optimized crystal structure of Mg15Mn. The functional is GGA-PBE.

Unit cell a=6.337 b=6.337 c=10.161 alpha=90.00 beta=90.00 gamma=120.00
Fractional positions:
Mg 0.000 0.000 0.500
Mg 0.000 0.500 0.000
Mg 0.000 0.500 0.500
Mg 0.500 0.500 0.000
Mg 0.500 0.500 0.500
Mg 0.500 0.000 0.000
Mg 0.500 0.000 0.500
Mg 0.164 0.328 0.754
Mg 0.164 0.328 0.246
Mg 0.164 0.836 0.754
Mg 0.164 0.836 0.246
Mg 0.672 0.836 0.754
Mg 0.672 0.836 0.246
Mg 0.667 0.333 0.749
Mg 0.667 0.333 0.251
Mn 0.000 0.000 0.000

Values from the calculation:
SG	P-6m2, No. 187


This record from Materials Project describes an optimized crystal structure of PuIO. The functional is GGA-PBE.

Unit cell a=4.011 b=4.011 c=9.468 alpha=90.00 beta=90.00 gamma=90.00
Fractional positions:
Pu 0.000 0.500 0.877
Pu 0.500 0.000 0.123
I 0.000 0.500 0.323
I 0.500 0.000 0.677
O 0.500 0.500 0.000
O 0.000 0.000 0.000

Values from the calculation:
SG	P4/nmm, No. 129


| no. | uncorrected energy (eV per atom) | E_form (meV/atom) |
| --- | --- | --- |
| 1 | -7.9984 | -1909 |
| 2 | -2.0185 | 54 |
| 3 | -8.5786 | -1894 |